# 1
28
Lattice="2.736 -4.244 6.473 -5.334 -3.539 5.141 -0.741 -8.175 0.160" Properties=species:S:1:pos:R:3 comment="Ti4Fe2O, relaxed, DFT PBE+U" m_tot_mub_per_fu=3.50 e_tot_ev_per_atom=-7.2906 pbc="T T T"
Ti -0.979 -12.121 8.085
Ti -2.424 -5.336 2.732
O 0.944 -4.116 4.701
Ti -4.010 -5.143 5.410
Ti -0.500 -4.060 0.878
Fe -1.389 -6.638 4.897
Ti -3.715 -11.882 7.633
Fe -1.716 -5.909 7.263
Ti -2.536 -10.549 9.774
Ti -2.263 -7.853 9.544
Ti -1.077 -8.104 2.229
Fe 0.555 -8.202 4.800
O -0.788 -6.074 1.557
Ti 0.670 -10.814 6.363
Fe -2.082 -9.951 7.342
Ti 0.487 -5.591 3.212
O -0.419 -2.002 1.477
O -3.076 -3.765 4.038
Ti 0.754 -2.643 3.155
Ti -2.788 -13.321 9.828
Ti -4.483 -10.363 5.512
Ti -2.156 -2.388 2.674
Fe -1.638 -9.386 4.951
Fe -3.435 -7.853 4.141
Fe -0.469 -8.064 7.073
Ti -1.170 -3.919 5.009
Ti 1.144 -5.594 6.261
Fe -3.182 -7.827 6.625



# 2
19
Lattice="-3.740 3.740 3.740 3.740 -3.740 3.740 3.740 3.740 -3.740" Properties=species:S:1:pos:R:3 comment="Ti4Fe3O12, relaxed, DFT PBE+U" m_tot_mub_per_fu=14.00 e_tot_ev_per_atom=-7.9929 pbc="T T T"
Ti 1.870 1.870 1.870
Fe 0.000 3.740 0.000
Fe 0.000 0.000 3.740
O 1.430 3.740 2.260
Fe 3.740 0.000 0.000
O 5.170 0.000 1.480
O 0.000 1.480 5.170
O 2.260 1.430 3.740
Ti 1.870 -1.870 1.870
O 1.480 5.170 0.000
O 0.000 1.480 2.310
Ti -1.870 1.870 1.870
O 3.740 2.260 -1.430
O -1.430 3.740 2.260
Ti 1.870 1.870 -1.870
O 2.310 0.000 1.480
O 3.740 2.260 1.430
O 1.480 2.310 0.000
O 2.260 -1.430 3.740



# 3
18
Lattice="2.808 -5.844 2.299 6.079 0.937 -3.082 3.530 1.643 4.217" Properties=species:S:1:pos:R:3 comment="TiV4FeO12, relaxed, DFT PBE+U" m_tot_mub_per_fu=7.35 e_tot_ev_per_atom=-7.6579 pbc="T T T"
O 1.208 -0.848 0.881
O 10.710 -3.452 3.374
O 5.560 -0.685 2.771
V 2.343 -2.072 0.261
O 5.826 0.835 0.220
O 3.340 0.961 2.140
O 4.952 -4.958 0.978
O 3.960 -1.408 0.486
O 8.388 -0.371 0.256
Fe 3.093 -5.255 1.831
O 5.732 -1.900 5.307
V 8.401 -1.994 1.020
O 9.529 -3.286 0.549
Ti 7.536 1.121 -0.467
O 6.752 -2.796 0.835
V 4.662 0.071 1.350
O 8.517 -1.730 2.849
V 9.478 -2.426 4.152



# 4
8
Lattice="-4.315 2.107 3.771 -5.901 -0.526 -1.477 -3.597 -3.888 3.037" Properties=species:S:1:pos:R:3 comment="TlFeO2, relaxed, DFT PBE+U" m_tot_mub_per_fu=5.00 e_tot_ev_per_atom=-5.4418 pbc="T T T"
O -4.749 -2.207 0.780
O -3.956 -0.890 3.404
Tl -1.681 -0.281 0.649
O -6.906 -1.153 2.665
O -8.705 -3.097 4.184
Fe -8.628 -1.441 3.330
Tl -12.132 -2.026 4.682
Fe -5.185 -0.866 2.001



# 5
8
Lattice="5.660 -2.977 0.000 5.660 2.977 0.000 4.094 0.000 4.912" Properties=species:S:1:pos:R:3 comment="TlFeO2, relaxed, DFT PBE+U" m_tot_mub_per_fu=5.00 e_tot_ev_per_atom=-5.4974 pbc="T T T"
Fe 5.921 0.000 1.887
Tl 12.289 0.000 3.916
O 4.877 -1.488 2.456
O 4.877 1.488 2.456
Fe 9.493 0.000 3.025
Tl 3.124 0.000 0.996
O 5.660 0.000 0.000
O 7.707 0.000 2.456



# 6
8
Lattice="5.298 -3.042 0.000 5.298 3.042 0.000 3.552 0.000 4.971" Properties=species:S:1:pos:R:3 comment="TlFeO2, relaxed, DFT PBE+U" e_tot_ev_per_atom=-5.4439 pbc="T T T"
O 5.298 0.000 0.000
Tl 12.425 0.000 4.366
Fe 5.311 0.000 1.866
Fe 8.837 0.000 3.105
Tl 1.724 0.000 0.606
O 4.425 1.521 2.486
O 4.425 -1.521 2.486
O 7.074 0.000 2.486



# 7
20
Lattice="-3.775 3.757 0.908 -1.946 -0.711 -5.144 -4.943 -5.608 2.645" Properties=species:S:1:pos:R:3 comment="TlFeO3, relaxed, DFT PBE+U" m_tot_mub_per_fu=0.00 e_tot_ev_per_atom=-5.6302 pbc="T T T"
O -6.121 -1.943 2.266
O -8.135 -1.263 -0.055
Fe -9.690 -2.206 0.981
O -7.148 -4.629 -0.843
O -5.778 -4.669 1.634
Tl -5.041 2.253 1.297
Tl -4.260 0.152 -1.697
Fe -6.830 -3.729 3.099
Fe -6.305 -1.636 -3.368
O -4.543 -0.618 -3.857
Tl -6.404 -2.713 0.106
O -6.758 -0.017 -2.223
O -4.886 2.107 -3.225
O -3.515 2.067 -0.749
O -5.387 -0.057 0.253
O -2.528 -1.298 -1.536
O -5.276 -2.504 -1.844
O -3.905 -2.545 0.632
Fe -3.444 -3.159 -1.250
Tl -5.622 -4.815 -2.888



# 8
24
Lattice="-0.743 -1.817 4.506 -2.834 -3.836 -2.014 9.935 -6.767 -1.090" Properties=species:S:1:pos:R:3 comment="UFeO4, relaxed, DFT PBE+U" m_tot_mub_per_fu=6.00 e_tot_ev_per_atom=-8.6320 pbc="T T T"
O 3.046 -5.067 -0.301
U -0.434 -4.029 -1.696
O 7.986 -8.518 -0.677
O 2.716 -7.725 -1.427
U 4.162 -8.321 0.012
O 8.638 -8.010 2.115
O 0.340 -5.978 -1.167
O 1.093 -2.955 2.857
O 5.827 -9.063 1.175
O 0.817 -5.783 1.977
Fe 4.876 -4.762 -1.116
U 2.197 -4.099 1.390
Fe -0.463 -2.287 1.682
O -1.627 -3.902 2.079
O 3.642 -4.695 2.829
U 7.536 -6.574 -1.408
O 5.266 -9.465 -1.455
O 5.541 -6.637 -0.574
Fe 6.822 -10.133 -0.280
O 0.531 -3.357 0.227
O 6.018 -6.442 2.569
O -2.280 -4.410 -0.713
Fe 2.226 -5.841 -1.988
O 3.313 -7.353 1.703



# 9
12
Lattice="5.180 2.488 0.820 -0.307 -5.773 -0.525 3.648 -0.264 -4.508" Properties=species:S:1:pos:R:3 comment="VFeO4, relaxed, DFT PBE+U" m_tot_mub_per_fu=5.00 e_tot_ev_per_atom=-7.1130 pbc="T T T"
O 5.144 -0.350 -3.096
O 5.080 -3.327 -3.566
O 2.588 -4.607 -3.758
Fe 0.000 0.000 0.000
O 7.759 0.715 -2.829
O 3.378 -3.199 -1.117
Fe 4.414 1.112 -1.844
O 0.762 -4.264 -1.384
V 6.913 -0.599 -3.476
O 5.934 1.058 -0.455
O 3.442 -0.222 -0.647
V 1.609 -2.950 -0.737



# 10
12
Lattice="0.992 -4.904 2.372 -5.520 0.418 0.123 1.926 0.399 -5.176" Properties=species:S:1:pos:R:3 comment="VFeO4, relaxed, DFT PBE+U" m_tot_mub_per_fu=5.00 e_tot_ev_per_atom=-7.1343 pbc="T T T"
O -1.315 -1.475 0.697
O 0.062 -0.874 -1.801
Fe 1.459 -2.253 -1.402
O -3.958 -0.797 0.431
V -1.252 -0.900 -3.126
O 1.356 -3.290 -3.112
O 0.008 -3.518 -0.575
O -2.664 -3.213 -0.880
O -2.610 -0.568 -2.106
Fe 0.000 0.000 0.000
V -1.350 -3.187 0.445
O -1.287 -2.612 -3.378



# 11
58
Lattice="11.710 0.000 0.000 0.000 14.638 0.000 0.000 0.000 4.557" Properties=species:S:1:pos:R:3 comment="V16FeO41, relaxed, DFT PBE+U" m_tot_mub_per_fu=4.00 e_tot_ev_per_atom=-7.3481 pbc="T T T"
V 1.176 11.893 4.111
O 10.450 2.759 2.044
O 0.825 2.765 0.010
O 8.783 11.893 2.023
O 0.819 10.052 4.547
O 5.036 10.052 4.547
O 4.610 11.893 2.509
V 4.679 11.893 4.111
O 8.783 13.895 4.543
O 0.825 6.383 0.010
O 6.947 9.852 2.119
O 8.783 6.387 4.483
O 10.618 13.935 2.119
V 1.201 0.947 4.099
O 10.450 6.389 2.044
O 7.116 2.759 2.044
O 0.819 13.734 4.547
O 6.629 0.979 4.511
O 7.116 6.389 2.044
O 1.246 11.893 2.509
V 4.654 8.201 4.099
O 6.629 8.169 4.511
V 1.199 4.574 4.100
V 7.038 6.381 0.439
O 8.783 9.892 4.543
O 2.928 11.893 0.052
O 8.783 2.761 4.483
O 1.276 4.574 2.496
V 10.527 2.768 0.439
O 4.580 4.574 2.496
O 10.618 9.852 2.119
O 4.556 8.195 2.496
O 6.947 13.935 2.119
O 10.915 4.574 4.536
O 5.036 13.734 4.547
Fe 8.783 11.893 0.167
O 6.651 4.574 4.536
O 6.713 11.893 0.041
O 2.928 8.215 0.090
O 2.928 4.574 0.077
O 5.031 6.383 0.010
O 2.928 0.933 0.090
V 7.038 2.768 0.439
V 6.959 9.956 0.519
V 10.606 9.956 0.519
V 1.201 8.201 4.099
O 1.300 0.953 2.496
O 1.300 8.195 2.496
V 4.656 4.574 4.100
V 10.527 6.381 0.439
O 10.936 0.979 4.511
O 10.852 11.893 0.041
O 4.556 0.953 2.496
V 4.654 0.947 4.099
O 5.031 2.765 0.010
O 10.936 8.169 4.511
V 10.606 13.831 0.519
V 6.959 13.831 0.519



# 12
53
Lattice="10.289 0.037 -0.052 -1.422 9.361 -0.013 -0.540 -1.320 6.477" Properties=species:S:1:pos:R:3 comment="V12Fe6O35, relaxed, DFT PBE+U" m_tot_mub_per_fu=36.12 e_tot_ev_per_atom=-7.3513 pbc="T T T"
V 7.323 3.166 1.750
O 0.522 8.262 1.909
V -1.317 8.506 1.501
O 3.523 4.395 1.955
O 7.297 5.056 2.381
O 7.475 2.539 3.612
Fe 3.794 -0.381 2.205
O 9.364 1.542 5.432
O 4.531 7.390 5.947
Fe 7.356 5.989 0.528
O 2.649 5.151 4.848
O 1.023 3.001 4.018
V 7.129 -0.173 1.044
Fe 9.701 -0.410 4.748
O 7.050 8.109 1.415
Fe 4.532 8.432 4.202
V 1.215 8.262 5.394
V 3.814 2.657 1.318
O 1.356 -0.011 5.031
V 1.004 4.905 4.689
O 4.797 3.606 4.464
V 4.064 6.016 1.840
O 9.399 3.214 1.934
O 5.861 -0.295 2.253
O 7.723 -0.123 4.527
O 5.599 2.896 1.504
O 3.799 0.752 0.506
O 1.668 2.551 1.213
O 3.048 1.935 5.928
V 7.901 5.732 3.919
O -0.035 0.618 2.727
Fe 4.621 5.459 5.126
O 2.461 8.392 4.150
V 0.724 6.426 1.373
O 3.611 1.578 2.963
O 8.393 7.372 3.617
O 7.646 4.042 -0.012
O 4.707 6.538 3.377
V 0.449 2.325 2.473
O 2.674 7.048 1.453
O 0.631 4.012 6.444
V 7.622 1.659 5.040
O 5.597 1.045 4.952
O -1.369 9.331 0.060
O 5.278 6.120 0.593
O -1.080 6.633 1.003
O 7.700 1.425 0.941
O 6.692 5.556 5.207
O 0.829 5.533 2.769
O 0.613 6.663 5.491
Fe 0.916 2.076 5.868
V 4.238 2.046 4.584
O -1.047 4.838 4.469



# 13
12
Lattice="-3.307 -0.727 3.790 3.899 -3.252 0.214 3.188 4.056 3.558" Properties=species:S:1:pos:R:3 comment="VFeO4, relaxed, DFT PBE+U" e_tot_ev_per_atom=-7.1735 pbc="T T T"
O 3.020 -0.063 5.644
Fe 2.186 -1.951 5.784
V 3.728 0.687 4.155
V 0.052 -0.611 3.408
O -1.502 -1.185 3.068
O 0.760 0.139 1.919
O 5.282 1.261 4.495
O 1.074 -1.967 4.039
O 3.904 -0.493 2.956
O 2.707 2.044 3.524
O -0.123 0.569 4.607
Fe 7.087 0.803 3.773



# 14
51
Lattice="5.918 0.000 0.000 -2.866 5.184 0.000 -0.030 -0.137 18.870" Properties=species:S:1:pos:R:3 comment="V14Fe5O32, relaxed, DFT PBE+U" m_tot_mub_per_fu=42.00 e_tot_ev_per_atom=-7.5634 pbc="T T T"
V 2.915 3.536 6.173
O 4.404 0.800 11.633
V 0.035 3.264 8.034
O 1.632 2.509 4.763
O 0.086 4.915 9.403
O -2.831 5.031 14.351
O -1.419 4.197 16.298
V 1.401 0.725 15.400
V 1.422 0.774 5.949
Fe 2.975 1.578 18.430
O 0.192 1.828 7.111
V -1.473 4.266 10.678
Fe 0.058 3.335 17.428
O 1.563 4.089 7.073
O 1.687 2.378 14.186
V 0.033 1.603 10.760
O 1.436 2.666 0.115
Fe 2.981 1.606 8.896
O 5.854 0.032 0.280
V 1.592 4.244 10.748
Fe 0.021 3.352 13.754
O -1.359 4.226 6.986
O 2.830 0.060 4.624
O 4.333 2.674 4.587
Fe 2.967 1.635 12.750
O -2.778 5.048 9.688
O 2.957 1.619 16.524
V -1.424 4.340 1.303
V 2.987 3.420 15.405
O -0.029 3.428 11.681
O 4.239 2.388 14.222
O 3.014 3.351 11.690
O -1.304 2.643 0.131
O 1.483 0.917 2.268
O -1.325 2.584 9.416
O 1.603 4.148 16.353
O 0.128 5.047 0.154
O 0.094 1.563 16.343
O 0.092 3.430 2.411
V 1.634 4.342 1.320
O 4.414 0.868 2.251
V -0.038 3.472 4.345
V 4.461 0.727 15.376
O 2.874 1.713 7.011
O 1.497 0.777 11.695
V 2.993 1.696 3.349
O 1.383 2.574 9.471
V 0.044 1.673 1.296
O 0.113 0.018 5.105
O 2.903 0.130 14.212
O 2.935 3.447 2.255



| no. | formation enthalpy at 0 K (kJ/mol of atoms) | mass density (g/cm³) |
| --- | --- | --- |
| 1 | -38.09 | 5.418 |
| 2 | -256.50 | 4.371 |
| 3 | -230.85 | 3.264 |
| 4 | -112.61 | 6.066 |
| 5 | -117.98 | 5.864 |
| 6 | -112.82 | 6.056 |
| 7 | -131.05 | 8.618 |
| 8 | -277.28 | 7.739 |
| 9 | -193.56 | 3.959 |
| 10 | -195.61 | 4.376 |
| 11 | -211.49 | 3.246 |
| 12 | -208.62 | 4.011 |
| 13 | -199.39 | 3.782 |
| 14 | -217.45 | 4.315 |